Entry 1:
The following is a DFT calculation (r2SCAN) of a relaxed TbB2Ir3 crystal.

Cell and atoms, written as POSCAR:
```
TbB2Ir3
1.0
5.439 0.000 0.000
-2.719 4.710 0.000
0.000 0.000 3.151
Tb B Ir
1 2 3
direct
0.000 0.000 0.000
0.333 0.667 0.000
0.667 0.333 0.000
0.000 0.500 0.500
0.500 0.000 0.500
0.500 0.500 0.500
```

Calculated values
For the formation energy, the calculation gives -4.62 eV/f.u.


Entry 2:
The following is a DFT calculation (r2SCAN) of a relaxed Sm2ReC2 crystal.

Cell and atoms, written as POSCAR:
```
Sm2ReC2
1.0
6.652 0.000 0.000
0.000 5.269 0.000
0.000 0.000 10.077
Sm Re C
8 4 8
direct
0.028 0.250 0.214
0.186 0.250 0.553
0.314 0.750 0.053
0.472 0.750 0.714
0.528 0.250 0.286
0.686 0.250 0.947
0.814 0.750 0.447
0.972 0.750 0.786
0.228 0.250 0.860
0.272 0.750 0.360
0.728 0.250 0.640
0.772 0.750 0.140
0.038 0.750 0.242
0.185 0.750 0.541
0.315 0.250 0.041
0.462 0.250 0.742
0.538 0.750 0.258
0.685 0.750 0.959
0.815 0.250 0.459
0.962 0.250 0.758
```

Calculated values
For the formation energy, the calculation gives -2.33 eV/f.u.


Entry 3:
The following is a DFT calculation (r2SCAN) of a relaxed AlTeI7 crystal.

Cell and atoms, written as POSCAR:
```
AlTeI7
1.0
7.470 0.000 0.000
0.000 7.313 0.000
-3.762 0.000 16.010
Al Te I
2 2 14
direct
0.000 0.009 0.000
0.000 0.991 0.500
0.288 0.410 0.155
0.288 0.590 0.655
0.176 0.377 0.771
0.176 0.623 0.271
0.325 0.118 0.998
0.325 0.882 0.498
0.501 0.169 0.265
0.501 0.831 0.765
0.571 0.381 0.624
0.571 0.619 0.124
0.779 0.159 0.877
0.779 0.841 0.377
0.925 0.123 0.136
0.925 0.877 0.636
0.969 0.336 0.489
0.969 0.664 0.989
```

Calculated values
For the formation energy, the calculation gives -3.94 eV/f.u.


Entry 4:
The following is a DFT calculation (r2SCAN) of a relaxed Pr3Al11 crystal.

Cell and atoms, written as POSCAR:
```
Pr3Al11
1.0
-2.191 5.009 6.507
2.191 -5.009 6.507
2.191 5.009 -6.507
Pr Al
3 11
direct
0.000 0.000 0.000
0.317 0.317 0.000
0.683 0.683 0.000
0.034 0.666 0.368
0.138 0.864 0.274
0.284 0.500 0.784
0.298 0.666 0.632
0.410 0.136 0.274
0.500 0.000 0.500
0.590 0.864 0.726
0.702 0.334 0.368
0.716 0.500 0.216
0.862 0.136 0.726
0.966 0.334 0.632
```

Calculated values
For the formation energy, the calculation gives -5.66 eV/f.u.